A plane-wave DFT calculation with GGA+U was carried out for a relaxed KLiCrO4 crystal.

POSCAR file:
```
KLiCrO4
1.0
5.277 0.000 0.000
0.000 8.489 0.000
0.000 0.000 19.765
K Li Cr O
8 8 8 32
Direct
0.794 0.481 0.235
0.768 0.174 0.052
0.268 0.326 0.552
0.268 0.826 0.948
0.768 0.674 0.448
0.794 0.981 0.265
0.294 0.019 0.735
0.294 0.519 0.765
0.247 0.498 0.057
0.247 0.308 0.345
0.747 0.192 0.845
0.747 0.692 0.655
0.247 0.998 0.443
0.747 0.002 0.557
0.747 0.502 0.943
0.247 0.808 0.155
0.748 0.795 0.823
0.248 0.205 0.177
0.251 0.783 0.572
0.248 0.705 0.323
0.751 0.717 0.072
0.251 0.283 0.928
0.748 0.295 0.677
0.751 0.217 0.428
0.617 0.555 0.038
0.204 0.134 0.980
0.638 0.763 0.745
0.065 0.192 0.419
0.116 0.246 0.854
0.143 0.347 0.126
0.116 0.746 0.646
0.138 0.237 0.255
0.616 0.254 0.354
0.642 0.969 0.849
0.643 0.153 0.626
0.565 0.308 0.919
0.138 0.737 0.245
0.065 0.692 0.081
0.142 0.531 0.349
0.638 0.263 0.755
0.617 0.055 0.462
0.142 0.031 0.151
0.565 0.808 0.581
0.643 0.653 0.874
0.062 0.294 0.679
0.143 0.847 0.374
0.704 0.866 0.020
0.704 0.366 0.480
0.117 0.445 0.962
0.117 0.945 0.538
0.616 0.754 0.146
0.062 0.794 0.821
0.562 0.706 0.321
0.642 0.469 0.651
0.204 0.634 0.520
0.562 0.206 0.179
```

Results
For the formation energy, the calculation gives -2.087 eV/atom. Its space group is No. 33. As for the total energy: -0.22222 hartree per atom. As for the magnetic moment: 0.00 μB/f.u.



A plane-wave DFT calculation with GGA+U was carried out for a relaxed MgMn2O4 crystal.

POSCAR file:
```
MgMn2O4
1.0
-4.022 -3.054 3.370
-3.741 6.799 6.844
-1.608 2.075 -5.475
Mg Mn O
4 8 16
Direct
0.512 0.488 0.488
0.011 0.988 0.989
0.313 0.061 0.687
0.813 0.562 0.187
0.114 0.637 0.886
0.615 0.138 0.385
0.062 0.313 0.437
0.562 0.813 0.937
0.062 0.312 0.938
0.562 0.812 0.438
0.563 0.313 0.938
0.063 0.813 0.438
0.172 0.429 0.828
0.671 0.932 0.329
0.955 0.191 0.046
0.454 0.691 0.546
0.967 0.202 0.590
0.468 0.704 0.093
0.410 0.208 0.590
0.908 0.709 0.092
0.410 0.202 0.033
0.907 0.704 0.532
0.712 0.424 0.836
0.213 0.923 0.336
0.713 0.418 0.287
0.213 0.918 0.787
0.164 0.424 0.288
0.664 0.923 0.787
```

Results
For the formation energy, the calculation gives -2.314 eV/atom. Its space group is No. 8. As for the total energy: -0.26160 hartree per atom. As for the magnetic moment: 8.00 μB/f.u. The offset from the most stable computed form comes out at 27.4 meV/atom.



A plane-wave DFT calculation with GGA+U was carried out for a relaxed Li6V3P8O29 crystal.

POSCAR file:
```
Li6V3P8O29
1.0
-3.458 -6.136 -6.776
-4.227 0.371 8.831
-8.632 9.964 -4.636
Li V P O
12 6 16 58
Direct
0.092 0.330 0.065
0.240 0.339 0.562
0.098 0.765 0.559
0.336 0.662 0.886
0.234 0.910 0.061
0.673 0.767 0.061
0.336 0.102 0.440
0.664 0.906 0.562
0.764 0.665 0.439
0.900 0.665 0.940
0.011 0.047 0.996
0.985 0.036 0.494
0.436 0.000 0.250
0.566 0.004 0.754
0.437 0.433 0.752
0.564 0.563 0.247
0.997 0.430 0.252
0.000 0.561 0.745
0.092 0.315 0.847
0.229 0.315 0.343
0.088 0.774 0.342
0.330 0.665 0.127
0.339 0.670 0.630
0.221 0.906 0.842
0.310 0.084 0.658
0.686 0.776 0.842
0.306 0.221 0.158
0.687 0.912 0.345
0.778 0.082 0.159
0.667 0.335 0.368
0.669 0.338 0.871
0.917 0.219 0.661
0.772 0.686 0.656
0.914 0.685 0.158
0.013 0.209 0.580
0.088 0.344 0.337
0.198 0.205 0.078
0.258 0.341 0.838
0.103 0.478 0.831
0.187 0.510 0.166
0.093 0.622 0.329
0.999 0.771 0.068
0.076 0.737 0.836
0.329 0.516 0.671
0.384 0.469 0.330
0.191 0.678 0.668
0.329 0.667 0.019
0.343 0.671 0.523
0.320 0.809 0.168
0.521 0.626 0.830
0.487 0.676 0.165
0.255 0.920 0.341
0.204 0.997 0.751
0.220 0.996 0.569
0.213 0.983 0.933
0.371 0.891 0.830
0.490 0.815 0.673
0.340 0.082 0.159
0.531 0.913 0.331
0.660 0.742 0.336
0.210 0.198 0.257
0.223 0.229 0.435
0.776 0.778 0.569
0.332 0.250 0.659
0.465 0.084 0.669
0.663 0.919 0.841
0.510 0.189 0.329
0.620 0.078 0.168
0.794 0.991 0.078
0.771 0.984 0.437
0.802 0.009 0.258
0.746 0.084 0.658
0.523 0.339 0.823
0.460 0.378 0.166
0.662 0.187 0.825
0.666 0.341 0.977
0.665 0.342 0.475
0.807 0.323 0.323
0.618 0.531 0.667
0.677 0.489 0.326
0.918 0.253 0.160
0.989 0.200 0.761
0.014 0.235 0.938
0.924 0.381 0.668
0.816 0.484 0.828
0.914 0.530 0.171
0.744 0.658 0.157
0.772 0.769 0.931
0.794 0.792 0.751
0.918 0.663 0.656
0.000 0.776 0.431
0.000 0.796 0.249
```

Results
For the formation energy, the calculation gives -2.653 eV/atom. Its space group is No. 1. As for the total energy: -0.25767 hartree per atom. As for the magnetic moment: 2.00 μB/f.u. The offset from the most stable computed form comes out at 9.3 meV/atom.



A plane-wave DFT calculation with GGA+U was carried out for a relaxed V3O2F6 crystal.

POSCAR file:
```
V3O2F6
1.0
-3.416 -3.258 -2.178
3.601 0.446 -6.218
3.577 -5.826 3.391
V O F
6 4 12
Direct
0.720 0.339 0.182
0.259 0.676 0.312
0.237 0.171 0.324
0.763 0.829 0.676
0.741 0.324 0.688
0.280 0.661 0.818
0.151 0.942 0.326
0.397 0.423 0.300
0.603 0.577 0.700
0.849 0.058 0.674
0.394 0.678 0.068
0.037 0.193 0.108
0.924 0.573 0.200
0.553 0.092 0.192
0.582 0.787 0.442
0.910 0.310 0.433
0.090 0.690 0.567
0.418 0.213 0.558
0.447 0.908 0.808
0.076 0.427 0.800
0.963 0.807 0.892
0.606 0.322 0.932
```

Results
For the formation energy, the calculation gives -2.937 eV/atom. Its space group is No. 2. As for the total energy: -0.23954 hartree per atom. As for the magnetic moment: 5.00 μB/f.u. The offset from the most stable computed form comes out at 39.8 meV/atom.



A plane-wave DFT calculation with GGA+U was carried out for a relaxed Sr3CaTi3MnO12 crystal.

POSCAR file:
```
Sr3CaTi3MnO12
1.0
7.794 0.000 0.000
0.000 7.799 0.000
0.000 0.000 7.890
Sr Ca Ti Mn O
6 2 6 2 24
Direct
0.247 0.246 0.250
0.247 0.247 0.750
0.246 0.753 0.750
0.753 0.247 0.250
0.753 0.246 0.750
0.754 0.753 0.250
0.247 0.754 0.250
0.753 0.754 0.750
0.000 0.502 0.000
0.000 0.502 0.500
0.500 0.999 0.000
0.500 0.999 0.500
0.500 0.501 0.000
0.500 0.501 0.500
0.000 0.999 0.000
0.000 0.999 0.500
0.248 0.997 0.002
0.248 0.997 0.498
0.249 0.503 0.002
0.249 0.503 0.498
0.752 0.997 0.998
0.752 0.997 0.502
0.751 0.503 0.998
0.751 0.503 0.502
0.000 0.248 0.000
0.000 0.248 0.500
0.000 0.752 0.000
0.000 0.752 0.500
0.500 0.249 0.000
0.500 0.249 0.500
0.500 0.750 0.000
0.500 0.750 0.500
0.003 0.997 0.250
0.997 0.997 0.750
0.002 0.503 0.250
0.998 0.503 0.750
0.498 0.997 0.250
0.502 0.997 0.750
0.498 0.503 0.250
0.502 0.503 0.750
```

Results
For the formation energy, the calculation gives -3.271 eV/atom. Its space group is No. 28. As for the total energy: -0.28443 hartree per atom. As for the magnetic moment: 3.03 μB/f.u.



A plane-wave DFT calculation with GGA+U was carried out for a relaxed Pr5Te7MoCl3O23 crystal.

POSCAR file:
```
Pr5Te7MoCl3O23
1.0
0.343 -9.662 2.800
6.447 6.284 -4.500
8.622 4.010 15.969
Pr Te Mo Cl O
10 14 2 6 46
Direct
0.239 0.761 0.500
0.758 0.242 0.500
0.742 0.521 0.863
0.521 0.742 0.864
0.258 0.479 0.136
0.479 0.258 0.137
0.180 0.698 0.738
0.698 0.182 0.738
0.818 0.302 0.262
0.302 0.820 0.262
0.299 0.959 0.890
0.959 0.298 0.890
0.702 0.041 0.110
0.041 0.701 0.110
0.849 0.637 0.642
0.634 0.847 0.643
0.153 0.366 0.357
0.363 0.151 0.358
0.995 0.995 0.762
0.005 0.005 0.238
0.406 0.164 0.615
0.165 0.408 0.615
0.592 0.835 0.385
0.836 0.594 0.385
0.264 0.263 0.975
0.737 0.736 0.025
0.438 0.438 0.714
0.562 0.562 0.286
0.500 0.500 0.500
0.697 0.303 0.000
0.303 0.697 0.000
0.036 0.964 0.500
0.413 0.895 0.837
0.895 0.412 0.837
0.588 0.105 0.163
0.105 0.587 0.163
0.147 0.308 0.029
0.308 0.147 0.029
0.853 0.692 0.971
0.692 0.853 0.971
0.478 0.204 0.841
0.204 0.478 0.841
0.522 0.796 0.159
0.796 0.522 0.159
0.766 0.766 0.811
0.234 0.234 0.189
0.483 0.483 0.922
0.517 0.517 0.078
0.037 0.890 0.692
0.890 0.037 0.692
0.963 0.110 0.308
0.110 0.963 0.308
0.824 0.517 0.734
0.517 0.823 0.734
0.177 0.483 0.266
0.483 0.176 0.266
0.112 0.112 0.913
0.888 0.888 0.087
0.072 0.701 0.614
0.703 0.072 0.613
0.928 0.297 0.387
0.299 0.928 0.386
0.683 0.356 0.610
0.357 0.683 0.610
0.317 0.643 0.390
0.644 0.317 0.390
0.097 0.818 0.831
0.818 0.097 0.830
0.903 0.182 0.170
0.182 0.903 0.169
0.403 0.026 0.691
0.026 0.403 0.691
0.597 0.974 0.309
0.974 0.597 0.309
0.430 0.068 0.535
0.067 0.426 0.535
0.574 0.933 0.465
0.932 0.570 0.465
```

Results
For the formation energy, the calculation gives -2.325 eV/atom. Its space group is No. 5. As for the total energy: -0.23349 hartree per atom. As for the magnetic moment: 0.01 μB/f.u.



A plane-wave DFT calculation with GGA+U was carried out for a relaxed LiVPO4F crystal.

POSCAR file:
```
LiVPO4F
1.0
5.752 -1.356 -2.483
4.676 3.188 9.081
-0.813 -12.021 4.647
Li V P O F
8 8 8 32 8
Direct
0.752 0.262 0.749
0.752 0.260 0.250
0.259 0.767 0.751
0.248 0.761 0.252
0.499 0.511 0.393
0.003 0.010 0.106
0.997 0.510 0.893
0.504 0.012 0.605
0.499 0.011 0.383
0.501 0.512 0.617
0.002 0.011 0.883
0.999 0.511 0.116
0.250 0.261 0.250
0.753 0.761 0.749
0.251 0.262 0.750
0.749 0.761 0.249
0.343 0.261 0.500
0.658 0.761 0.499
0.157 0.261 0.000
0.844 0.761 0.999
0.499 0.511 0.184
0.503 0.012 0.815
0.000 0.511 0.684
0.000 0.011 0.315
0.484 0.142 0.496
0.518 0.642 0.503
0.017 0.141 0.996
0.983 0.642 0.003
0.484 0.380 0.503
0.516 0.880 0.496
0.015 0.380 0.004
0.986 0.880 0.996
0.207 0.271 0.401
0.795 0.771 0.597
0.293 0.271 0.901
0.707 0.771 0.097
0.208 0.251 0.598
0.793 0.752 0.401
0.293 0.252 0.098
0.708 0.753 0.901
0.305 0.527 0.117
0.696 0.028 0.882
0.195 0.527 0.618
0.805 0.027 0.382
0.693 0.495 0.117
0.308 0.995 0.881
0.807 0.494 0.617
0.193 0.994 0.382
0.518 0.627 0.259
0.483 0.127 0.739
0.979 0.625 0.760
0.020 0.126 0.239
0.479 0.396 0.260
0.523 0.897 0.739
0.020 0.395 0.760
0.980 0.896 0.239
0.496 0.877 0.269
0.503 0.378 0.730
0.006 0.877 0.769
0.997 0.376 0.230
0.502 0.146 0.269
0.500 0.647 0.730
0.999 0.145 0.769
0.001 0.646 0.230
```

Results
For the formation energy, the calculation gives -2.803 eV/atom. Its space group is No. 1. As for the total energy: -0.25554 hartree per atom. As for the magnetic moment: 2.00 μB/f.u. The offset from the most stable computed form comes out at 34.7 meV/atom.



Repeat the first record exactly.
A plane-wave DFT calculation with GGA+U was carried out for a relaxed KLiCrO4 crystal.

POSCAR file:
```
KLiCrO4
1.0
5.277 0.000 0.000
0.000 8.489 0.000
0.000 0.000 19.765
K Li Cr O
8 8 8 32
Direct
0.794 0.481 0.235
0.768 0.174 0.052
0.268 0.326 0.552
0.268 0.826 0.948
0.768 0.674 0.448
0.794 0.981 0.265
0.294 0.019 0.735
0.294 0.519 0.765
0.247 0.498 0.057
0.247 0.308 0.345
0.747 0.192 0.845
0.747 0.692 0.655
0.247 0.998 0.443
0.747 0.002 0.557
0.747 0.502 0.943
0.247 0.808 0.155
0.748 0.795 0.823
0.248 0.205 0.177
0.251 0.783 0.572
0.248 0.705 0.323
0.751 0.717 0.072
0.251 0.283 0.928
0.748 0.295 0.677
0.751 0.217 0.428
0.617 0.555 0.038
0.204 0.134 0.980
0.638 0.763 0.745
0.065 0.192 0.419
0.116 0.246 0.854
0.143 0.347 0.126
0.116 0.746 0.646
0.138 0.237 0.255
0.616 0.254 0.354
0.642 0.969 0.849
0.643 0.153 0.626
0.565 0.308 0.919
0.138 0.737 0.245
0.065 0.692 0.081
0.142 0.531 0.349
0.638 0.263 0.755
0.617 0.055 0.462
0.142 0.031 0.151
0.565 0.808 0.581
0.643 0.653 0.874
0.062 0.294 0.679
0.143 0.847 0.374
0.704 0.866 0.020
0.704 0.366 0.480
0.117 0.445 0.962
0.117 0.945 0.538
0.616 0.754 0.146
0.062 0.794 0.821
0.562 0.706 0.321
0.642 0.469 0.651
0.204 0.634 0.520
0.562 0.206 0.179
```

Results
For the formation energy, the calculation gives -2.087 eV/atom. Its space group is No. 33. As for the total energy: -0.22222 hartree per atom. As for the magnetic moment: 0.00 μB/f.u.